1.
Here is a geometry-optimized BaMg14Ni structure from the Materials Project database. Energies are from PBE.

The structure in extended XYZ format:
```
16
Lattice="6.4611 0.0000 0.0000 -3.2305 5.5955 0.0000 0.0000 0.0000 10.6092" Properties=species:S:1:pos:R:3 pbc="T T T"
Ba 0.0000 0.0000 0.0000
Mg -1.5575 2.8311 0.0000
Mg 0.0000 1.8040 2.9681
Mg 0.0000 1.8040 7.6411
Mg -1.6682 4.6935 2.9681
Mg -1.6682 4.6935 7.6411
Mg 1.5575 2.8311 0.0000
Mg 0.0000 5.5288 0.0000
Mg 3.2305 0.0711 5.3046
Mg 1.6769 2.7622 5.3046
Mg 3.2305 1.8652 2.4740
Mg 3.2305 1.8652 8.1352
Mg 1.6682 4.6935 2.9681
Mg 1.6682 4.6935 7.6411
Mg 4.7842 2.7622 5.3046
Ni 0.0000 0.0000 5.3046
```

The value obtained for the distance to the lowest polymorph of the same formula is 55 kJ/mol of formula units. For the uncorrected energy, the calculation gives -1.762 eV per atom. As for the crystal system: hexagonal. Its density is 2.32 g cm⁻³. Its total magnetization is 0.006 μB per formula unit.


2.
Here is a geometry-optimized Ga4Ni3 structure from the Materials Project database. Energies are from PBE.

The structure in extended XYZ format:
```
56
Lattice="-5.7398 5.7398 5.7398 5.7398 -5.7398 5.7398 5.7398 5.7398 -5.7398" Properties=species:S:1:pos:R:3 pbc="T T T"
Ga 0.0000 0.0000 0.0000
Ga 2.8699 2.8699 -2.8699
Ga 2.8699 -2.8699 2.8699
Ga 5.7398 0.0000 0.0000
Ga 2.8699 0.1412 0.0000
Ga 5.7398 2.8699 -2.7287
Ga 2.8699 2.7287 0.0000
Ga 5.7398 2.8699 -0.1412
Ga 0.1412 0.0000 2.8699
Ga 2.7287 0.0000 2.8699
Ga 5.8811 0.0000 2.8699
Ga 8.4685 0.0000 2.8699
Ga 0.0000 2.8699 0.1412
Ga 2.8699 -2.7287 5.7398
Ga 0.0000 2.8699 2.7287
Ga 2.8699 -0.1412 5.7398
Ga -2.8699 2.8699 2.8699
Ga 0.0000 5.7398 0.0000
Ga 0.0000 0.0000 5.7398
Ga 2.8699 2.8699 2.8699
Ga 2.8699 5.8811 0.0000
Ga 5.7398 2.8699 3.0112
Ga 2.8699 8.4685 0.0000
Ga 5.7398 2.8699 5.5986
Ga -2.7287 5.7398 2.8699
Ga -0.1412 5.7398 2.8699
Ga 3.0112 5.7398 2.8699
Ga 5.5986 5.7398 2.8699
Ga 0.0000 2.8699 5.8811
Ga 2.8699 3.0112 5.7398
Ga 0.0000 2.8699 8.4685
Ga 2.8699 5.5986 5.7398
Ni 4.3978 4.3049 -4.2119
Ni 4.2119 -1.3420 1.4350
Ni 4.3049 -4.2119 4.3978
Ni 4.3978 -1.4350 4.2119
Ni 9.9518 1.3420 1.4350
Ni 1.4350 4.2119 -1.3420
Ni 7.1748 1.5279 1.3420
Ni 4.2119 4.3978 -1.4350
Ni 4.3978 1.4350 1.5279
Ni 4.3049 4.2119 1.3420
Ni -1.3420 1.4350 4.2119
Ni 4.2119 1.3420 4.3049
Ni 1.5279 4.3978 1.4350
Ni 7.0818 4.3049 1.5279
Ni 1.4350 1.5279 4.3978
Ni 1.3420 4.3049 4.2119
Ni 1.5279 1.3420 7.1748
Ni -1.4350 4.2119 4.3978
Ni 4.3049 1.5279 7.0818
Ni -4.2119 4.3978 4.3049
Ni 1.3420 7.1748 1.5279
Ni 1.4350 9.9518 1.3420
Ni 1.5279 7.0818 4.3049
Ni 1.3420 1.4350 9.9518
```

For the uncorrected energy, the calculation gives -4.603 eV per atom. As for the crystal system: cubic. Its density is 7.99 g cm⁻³. Its total magnetization is 0.001 μB per formula unit.


3.
Here is a geometry-optimized Cs2MgRe2O8 structure from the Materials Project database. Energies are from PBE.

The structure in extended XYZ format:
```
13
Lattice="6.4321 0.0000 0.0000 0.0017 6.9040 0.0000 3.2137 3.4484 6.9148" Properties=species:S:1:pos:R:3 pbc="T T T"
Cs 0.0000 0.0000 0.0000
Cs 3.2104 6.9059 3.4475
Mg 3.2149 3.4535 2.7999
Re 6.4257 6.9011 6.8320
Re 6.4307 3.4487 3.2505
O 4.9374 6.9003 5.9048
O 3.2138 2.1639 1.2713
O 3.2141 4.7424 1.2706
O 4.7589 3.4503 4.0275
O 7.9139 6.9003 5.9016
O 6.4315 1.8990 2.3930
O 6.4315 4.9956 2.3881
O 8.1024 3.4504 4.0275
```

The value obtained for the distance to the lowest polymorph of the same formula is 22 kJ/mol of formula units. For the uncorrected energy, the calculation gives -6.953 eV per atom. As for the crystal system: triclinic. Its density is 4.28 g cm⁻³. Its total magnetization is 0.001 μB per formula unit.